Tb5Ru2 | PBE | optimized geometry

The structure in POSCAR format:
```
Tb5Ru2
1.0
7.9283 -3.1909 0.0000
7.9283 3.1909 0.0000
-0.8961 0.0000 7.2552
Tb Ru
10 4
direct
0.0812 0.9188 0.7500 Tb
0.1411 0.2940 0.3141 Tb
0.2909 0.5224 0.0842 Tb
0.2940 0.1411 0.8141 Tb
0.4776 0.7091 0.4158 Tb
0.5224 0.2909 0.5842 Tb
0.7060 0.8589 0.1859 Tb
0.7091 0.4776 0.9158 Tb
0.8589 0.7060 0.6859 Tb
0.9188 0.0812 0.2500 Tb
0.1024 0.6775 0.4243 Ru
0.3225 0.8976 0.0757 Ru
0.6775 0.1024 0.9243 Ru
0.8976 0.3225 0.5757 Ru
```

Results
Calculated volume (Å³/cell): 367.09
Space group: C2/c, No. 15
Formation energy from the elements (eV per atom): -0.339